The following is a DFT calculation (PBE) of a relaxed structure of Eu2Sn.

Cell: 7.4253 5.4162 10.1141 Å, 90.00 90.00 90.00°
Space group Pnma (No. 62)
Asymmetric unit:
Eu  0.0288  0.2500  0.2040
Eu  0.1853  0.2500  0.5717
Sn  0.2266  0.2500  0.8961

Calculated values
total energy: -8.8106 eV per atom
ΔE_f: -636 meV/atom


The following is a DFT calculation (PBE) of a relaxed structure of EuSn.

Cell: 4.9414 11.8998 4.4716 Å, 90.00 90.00 90.00°
Space group Cmcm (No. 63)
Asymmetric unit:
Eu  0.0000  0.1345  0.2500
Sn  0.0000  0.4178  0.2500

Calculated values
total energy: -7.8388 eV per atom
ΔE_f: -705 meV/atom


The following is a DFT calculation (PBE) of a relaxed structure of Eu3Sn5.

Cell: 10.3396 8.5197 10.7074 Å, 90.00 90.00 90.00°
Space group Cmcm (No. 63)
Asymmetric unit:
Eu  0.0000  0.1278  0.2500
Eu  0.2026  0.5000  0.0000
Sn  0.0000  0.1912  0.5503
Sn  0.0000  0.4725  0.7500
Sn  0.2108  0.2146  0.7500

Calculated values
total energy: -6.9683 eV per atom
ΔE_f: -616 meV/atom


The following is a DFT calculation (PBE) of a relaxed structure of EuZn2Sn2.

Cell: 4.6367 4.5847 11.3297 Å, 90.00 90.74 90.00°
Space group P2_1/m (No. 11)
Asymmetric unit:
Eu  0.2406  0.2500  0.2459
Zn  0.2203  0.7500  0.0008
Zn  0.2395  0.2500  0.6393
Sn  0.2577  0.7500  0.4995
Sn  0.2790  0.2500  0.8676

Calculated values
total energy: -4.5187 eV per atom
ΔE_f: -360 meV/atom


The following is a DFT calculation (PBE) of a relaxed structure of EuZn2Sn2.

Cell: 4.6301 4.6301 11.3742 Å, 90.00 90.00 90.00°
Space group P4/nmm (No. 129, origin choice 2)
Asymmetric unit:
Eu  0.2500  0.2500  0.2440
Zn  0.2500  0.2500  0.6384
Zn  0.2500  0.7500  0.0000
Sn  0.2500  0.2500  0.8672
Sn  0.2500  0.7500  0.5000

Calculated values
total energy: -4.5189 eV per atom
ΔE_f: -360 meV/atom


The following is a DFT calculation (PBE) of a relaxed structure of Eu2ZnSn.

Cell: 7.8517 7.8517 7.8517 Å, 90.00 90.00 90.00°
Space group Fm-3m (No. 225)
Asymmetric unit:
Eu  0.2500  0.2500  0.2500
Zn  0.0000  0.0000  0.0000
Sn  0.0000  0.0000  0.5000

Calculated values
total energy: -6.9736 eV per atom
ΔE_f: -528 meV/atom


The following is a DFT calculation (PBE) of a relaxed structure of Sr3Eu.

Cell: 5.9751 5.9751 11.8982 Å, 90.00 90.00 90.00°
Space group I4/mmm (No. 139)
Asymmetric unit:
Sr  0.0000  0.0000  0.0000
Sr  0.0000  0.5000  0.2500
Eu  0.0000  0.0000  0.5000

Calculated values
total energy: -3.8066 eV per atom
ΔE_f: 25 meV/atom


The following is a DFT calculation (PBE) of a relaxed structure of Sr3Eu.

Cell: 5.9830 5.9830 5.9830 Å, 90.00 90.00 90.00°
Space group Pm-3m (No. 221)
Asymmetric unit:
Sr  0.0000  0.0000  0.5000
Eu  0.5000  0.5000  0.5000

Calculated values
total energy: -3.8060 eV per atom
ΔE_f: 25 meV/atom


The following is a DFT calculation (PBE) of a relaxed structure of Sr3Eu.

Cell: 8.4088 8.4088 6.9318 Å, 90.00 90.00 120.00°
Space group P6_3/mmc (No. 194)
Asymmetric unit:
Sr  0.1679  0.3358  0.2500
Eu  0.3333  0.6667  0.7500

Calculated values
total energy: -3.7971 eV per atom
ΔE_f: 34 meV/atom


The following is a DFT calculation (PBE) of a relaxed structure of Sr3Eu.

Cell: 9.3396 9.3396 9.3396 Å, 90.00 90.00 90.00°
Space group Fm-3m (No. 225)
Asymmetric unit:
Sr  0.0000  0.0000  0.0000
Sr  0.2500  0.2500  0.2500
Eu  0.0000  0.0000  0.5000

Calculated values
total energy: -3.8041 eV per atom
ΔE_f: 27 meV/atom


The following is a DFT calculation (PBE) of a relaxed structure of SrEu.

Cell: 4.1068 4.1068 6.7981 Å, 90.00 90.00 120.00°
Space group P-6m2 (No. 187)
Asymmetric unit:
Sr  0.0000  0.0000  0.0000
Eu  0.3333  0.6667  0.5000

Calculated values
total energy: -5.9389 eV per atom
ΔE_f: 34 meV/atom


The following is a DFT calculation (PBE) of a relaxed structure of SrEuTl2.

Cell: 8.1527 8.1527 8.1527 Å, 90.00 90.00 90.00°
Space group Fm-3m (No. 225)
Asymmetric unit:
Sr  0.0000  0.0000  0.0000
Eu  0.0000  0.0000  0.5000
Tl  0.2500  0.2500  0.2500

Calculated values
total energy: -4.5978 eV per atom
ΔE_f: -430 meV/atom